Record 1
4
Lattice="3.099 0.000 -1.019 0.000 4.037 0.000 0.019 0.000 5.279" Properties=species:S:1:pos:R:3 comment="meta-GGA r2SCAN ZrNi, relaxed" density_g_cm3=7.53 formation_enthalpy_0k_mev_per_atom=-463 energy_ev_per_cell=-71.31 pbc="T T T"
Ni 2.857 1.009 3.467
Ni 0.261 3.028 0.793
Zr 1.136 3.028 3.455
Zr 1.982 1.009 0.805

***

Record 2
5
Lattice="0.749 -5.752 -0.254 0.535 -3.034 4.921 -3.540 4.012 -2.254" Properties=species:S:1:pos:R:3 comment="meta-GGA r2SCAN CeP2Pd2, relaxed" density_g_cm3=8.03 formation_enthalpy_0k_mev_per_atom=-1044 energy_ev_per_cell=-99.98 pbc="T T T"
P 0.785 -5.372 2.854
P 0.499 -3.414 1.814
Pd -1.182 -1.708 2.501
Pd -1.075 -3.067 -0.087
Ce 0.000 0.000 0.000

***

Record 3
4
Lattice="0.597 -2.745 4.433 -3.706 -3.401 1.500 0.933 -5.161 -0.214" Properties=species:S:1:pos:R:3 comment="meta-GGA r2SCAN PrEuZn2, relaxed" density_g_cm3=6.88 formation_enthalpy_0k_mev_per_atom=-282 energy_ev_per_cell=-86.87 pbc="T T T"
Pr 0.000 0.000 0.000
Zn -1.632 -8.481 4.289
Zn -0.544 -2.827 1.430
Eu -1.088 -5.654 2.859

***

Record 4
26
Lattice="-2.322 -5.622 -4.512 6.991 -1.493 2.500 -4.712 0.614 5.897" Properties=species:S:1:pos:R:3 comment="meta-GGA r2SCAN Zn8Cu5, relaxed" density_g_cm3=8.35 formation_enthalpy_0k_mev_per_atom=-106 energy_ev_per_cell=-253.81 pbc="T T T"
Cu -0.800 -1.938 -1.555
Cu 2.410 -0.515 0.862
Cu 1.661 -2.531 -0.716
Cu -1.624 0.212 2.033
Cu 0.811 -0.313 2.987
Cu 1.468 -0.566 5.409
Cu -2.502 -1.781 0.493
Cu -4.531 -3.226 0.892
Cu -0.028 -4.260 2.545
Cu 3.008 -4.584 -1.296
Zn -1.122 -0.016 4.540
Zn -1.328 -2.092 2.996
Zn 3.243 -0.802 3.273
Zn -3.718 -1.167 2.586
Zn -0.009 -1.423 0.851
Zn 0.436 -4.080 -2.244
Zn 0.778 -2.731 4.373
Zn -2.827 -3.493 -1.297
Zn 3.909 -2.540 0.372
Zn -1.813 -4.391 -3.524
Zn 1.610 -4.902 0.748
Zn -0.662 -3.831 0.095
Zn 5.460 -1.166 1.952
Zn -2.465 -4.169 1.931
Zn 1.934 -2.680 2.049
Zn -3.680 0.479 4.605

***

Record 5
30
Lattice="-0.215 -6.431 -2.613 5.421 -0.288 -4.348 7.873 -3.327 4.614" Properties=species:S:1:pos:R:3 comment="meta-GGA r2SCAN SrSiO3, relaxed" density_g_cm3=3.83 formation_enthalpy_0k_mev_per_atom=-3258 energy_ev_per_cell=-348.76 pbc="T T T"
Sr 9.169 -4.939 2.878
Sr 8.206 -8.295 -1.914
Sr 6.243 -5.994 0.481
Sr 3.909 -5.107 -5.225
Sr 6.835 -4.052 -2.828
Sr 4.872 -1.751 -0.434
O 7.109 -1.740 -1.488
O 5.112 -2.980 -4.260
O 10.512 -8.267 -2.754
O 4.748 -5.700 -2.965
O 7.966 -7.066 1.913
O 2.567 -1.779 0.407
O 5.060 -4.178 -0.878
O 2.659 -4.154 -2.187
O 8.019 -5.868 -1.469
O 0.924 -6.009 -1.644
O 9.709 -3.830 -1.626
O 3.685 -1.218 -2.717
O 9.393 -8.828 0.370
O 3.369 -6.217 -0.721
O 12.154 -4.037 -0.703
O 10.419 -5.892 -0.160
O 5.970 -8.307 -0.859
O 8.330 -4.346 0.618
Si 11.829 -5.209 0.466
Si 7.433 -7.417 -5.405
Si 1.249 -4.837 -2.813
Si 5.645 -2.629 3.058
Si 3.987 -5.029 -1.717
Si 9.091 -5.017 -0.630

***

Record 6
6
Lattice="-2.406 3.035 -1.960 3.582 -1.510 -1.930 -4.511 -5.969 -3.704" Properties=species:S:1:pos:R:3 comment="meta-GGA r2SCAN NdNiSb, relaxed" density_g_cm3=7.92 formation_enthalpy_0k_mev_per_atom=-913 energy_ev_per_cell=-139.69 pbc="T T T"
Nd -2.256 -2.984 -1.852
Nd 0.000 0.000 0.000
Sb -1.538 0.028 -2.876
Sb -1.797 -4.472 -4.718
Ni 0.458 -1.487 -2.866
Ni -3.794 -2.957 -4.728

***

Record 7
6
Lattice="-2.901 2.863 0.680 0.459 -1.667 -3.753 -1.121 -3.175 2.394" Properties=species:S:1:pos:R:3 comment="meta-GGA r2SCAN Mn2B, relaxed" density_g_cm3=7.59 formation_enthalpy_0k_mev_per_atom=-254 energy_ev_per_cell=-74.95 pbc="T T T"
Mn -2.683 -0.298 -0.723
Mn -0.880 -1.681 0.045
Mn -2.777 -0.998 1.818
Mn -0.786 -0.981 -2.496
B -0.610 0.299 -0.768
B -1.831 0.897 -2.304

***

Record 8
16
Lattice="4.452 0.000 0.000 0.000 8.793 0.000 -2.226 -4.396 8.289" Properties=species:S:1:pos:R:3 comment="meta-GGA r2SCAN CeGe2Pt, relaxed" density_g_cm3=9.84 formation_enthalpy_0k_mev_per_atom=-969 energy_ev_per_cell=-455.79 pbc="T T T"
Ge 0.000 1.323 3.284
Ge 2.226 4.396 1.233
Ge 2.226 5.719 5.005
Ge 0.000 0.000 7.056
Ge 2.226 0.000 1.217
Ge 2.226 3.074 5.005
Ge 0.000 4.396 7.072
Ge 0.000 -1.323 3.284
Pt 0.000 -2.226 5.801
Pt 2.226 2.170 2.489
Pt 0.000 2.226 5.801
Pt 2.226 6.623 2.489
Ce 0.000 4.396 3.374
Ce 2.226 0.000 4.915
Ce 0.000 2.225 0.000
Ce 0.000 6.567 0.000

***

Record 9
22
Lattice="-1.518 1.614 -3.101 -4.441 -3.097 0.562 -4.824 8.580 9.159" Properties=species:S:1:pos:R:3 comment="meta-GGA r2SCAN Na2W2O7, relaxed" density_g_cm3=6.32 formation_enthalpy_0k_mev_per_atom=-2315 energy_ev_per_cell=-354.27 pbc="T T T"
O -6.647 2.292 2.106
O -4.551 4.516 4.566
O -4.301 3.484 1.578
O -4.566 -1.610 -0.945
O -3.566 1.234 0.045
O -4.337 0.880 2.582
O -6.004 0.029 0.610
O -8.605 4.895 6.750
O -1.072 0.510 0.787
O -8.576 7.379 5.689
O -6.969 8.183 7.660
O -6.186 6.087 6.187
O -7.019 3.239 5.110
O -5.176 7.103 3.877
W -4.183 6.127 5.223
W -7.660 6.481 7.124
W -1.843 1.508 -0.666
W -5.141 1.989 1.212
Na -6.235 8.905 5.342
Na -2.659 3.859 3.319
Na -6.420 4.427 3.085
Na -3.261 -0.910 1.115

***

Record 10
4
Lattice="0.094 -4.374 3.121 -3.986 -0.895 3.491 -3.486 -3.996 -0.869" Properties=species:S:1:pos:R:3 comment="meta-GGA r2SCAN SmTmMg2, relaxed" density_g_cm3=5.57 formation_enthalpy_0k_mev_per_atom=-90 energy_ev_per_cell=-73.55 pbc="T T T"
Sm -1.845 -2.316 1.436
Mg -3.689 -4.633 2.872
Mg 0.000 0.000 0.000
Tm -5.534 -6.949 4.307

***

Record 11
28
Lattice="-9.895 -0.819 -0.452 0.255 -4.640 2.819 -0.469 1.356 7.794" Properties=species:S:1:pos:R:3 comment="meta-GGA r2SCAN CaMnF5, relaxed" polymorph_energy_mev_per_atom=2.7 density_g_cm3=3.16 formation_enthalpy_0k_mev_per_atom=-3422 energy_ev_per_cell=-245.22 pbc="T T T"
F -6.361 -3.576 7.035
F -6.207 -1.508 4.673
F -3.901 -2.594 5.489
F -6.060 -2.275 1.281
F -5.903 -4.345 3.726
F -4.048 -1.828 8.880
F -2.018 -3.088 7.435
F -1.698 0.340 7.128
F -7.210 -0.244 6.675
F -8.867 -1.810 5.060
F -2.897 -3.859 3.487
F -8.902 -3.895 7.497
F -3.747 -0.527 3.126
F -1.422 -1.692 9.510
F -1.206 -0.208 2.664
F -8.090 -1.014 2.726
F -8.410 -4.443 3.033
F -1.241 -2.293 5.101
F -4.204 0.242 6.435
F -8.686 -2.411 0.652
Ca -4.731 -2.519 3.181
Ca -5.377 -1.584 6.981
Ca -0.409 -1.463 7.286
Ca -9.699 -2.640 2.875
Mn -2.698 -3.074 9.401
Mn -2.411 -3.748 5.506
Mn -7.410 -1.029 0.761
Mn -7.697 -0.355 4.655

***

Record 12
8
Lattice="5.355 0.000 0.000 -2.678 4.638 0.000 0.000 0.000 4.345" Properties=species:S:1:pos:R:3 comment="meta-GGA r2SCAN Zn3Rh, relaxed" density_g_cm3=9.21 formation_enthalpy_0k_mev_per_atom=-347 energy_ev_per_cell=-104.51 pbc="T T T"
Zn 1.323 3.856 1.086
Zn 1.354 0.782 3.259
Zn 0.000 1.564 1.086
Zn 2.678 3.074 3.259
Zn -1.323 3.856 1.086
Zn 4.001 0.782 3.259
Rh 2.678 1.546 1.086
Rh 0.000 3.092 3.259